a) Material: P2WO7
Method: DFT, PBE with a Hubbard U
State: optimized geometry

```
data_P2WO7
_chemical_formula_sum 'P4 W2 O14'
_symmetry_space_group_name_H-M 'P -1'
_symmetry_Int_Tables_number 2
_symmetry_space_group_name_Hall '-P 1'
_cell_length_a 6.503
_cell_length_b 6.544
_cell_length_c 7.146
_cell_angle_alpha 87.33
_cell_angle_beta 65.72
_cell_angle_gamma 83.88
loop_
_atom_site_label
_atom_site_type_symbol
_atom_site_fract_x
_atom_site_fract_y
_atom_site_fract_z
P1 P 0.160 0.113 0.147
P2 P 0.263 0.365 0.752
W1 W 0.410 0.849 0.711
O1 O 0.072 0.409 0.693
O2 O 0.093 0.888 0.715
O3 O 0.193 0.299 0.989
O4 O 0.262 0.915 0.022
O5 O 0.282 0.150 0.283
O6 O 0.413 0.541 0.730
O7 O 0.435 0.169 0.629
```


b) Material: P2WO7
Method: DFT, PBE with a Hubbard U
State: optimized geometry

```
data_P2WO7
_chemical_formula_sum 'P4 W2 O14'
_symmetry_space_group_name_H-M 'P 1 21 1'
_symmetry_Int_Tables_number 4
_symmetry_space_group_name_Hall 'P 2yb'
_cell_length_a 5.006
_cell_length_b 8.313
_cell_length_c 7.205
_cell_angle_alpha 90.00
_cell_angle_beta 108.94
_cell_angle_gamma 90.00
loop_
_atom_site_label
_atom_site_type_symbol
_atom_site_fract_x
_atom_site_fract_y
_atom_site_fract_z
P1 P 0.093 0.000 0.474
P2 P 0.278 0.402 0.911
W1 W 0.292 0.677 0.280
O1 O 0.086 0.256 0.911
O2 O 0.099 0.509 0.398
O3 O 0.099 0.533 0.750
O4 O 0.221 0.834 0.485
O5 O 0.317 0.133 0.521
O6 O 0.371 0.493 0.101
O7 O 0.471 0.849 0.152
```


Of them, a) has the lowest stability.


a) Material: P2W5O19
Method: DFT, PBE with a Hubbard U
State: optimized geometry

```
data_P2W5O19
_chemical_formula_sum 'P4 W10 O38'
_symmetry_space_group_name_H-M 'P 1 21/c 1'
_symmetry_Int_Tables_number 14
_symmetry_space_group_name_Hall '-P 2ybc'
_cell_length_a 5.395
_cell_length_b 6.710
_cell_length_c 21.570
_cell_angle_alpha 90.00
_cell_angle_beta 104.15
_cell_angle_gamma 90.00
loop_
_atom_site_label
_atom_site_type_symbol
_atom_site_fract_x
_atom_site_fract_y
_atom_site_fract_z
P1 P 0.185 0.030 0.196
W1 W 0.071 0.670 0.074
W2 W 0.355 0.665 0.852
W3 W 0.500 0.000 0.000
O1 O 0.000 0.000 0.500
O2 O 0.074 0.639 0.311
O3 O 0.114 0.512 0.880
O4 O 0.152 0.659 0.655
O5 O 0.230 0.180 0.957
O6 O 0.264 0.650 0.536
O7 O 0.278 0.530 0.767
O8 O 0.382 0.516 0.114
O9 O 0.388 0.170 0.181
O10 O 0.426 0.676 0.425
```


b) Material: P2W5O19
Method: DFT, PBE with a Hubbard U
State: optimized geometry

```
data_P2W5O19
_chemical_formula_sum 'P4 W10 O38'
_symmetry_space_group_name_H-M 'P 1 21 1'
_symmetry_Int_Tables_number 4
_symmetry_space_group_name_Hall 'P 2yb'
_cell_length_a 6.733
_cell_length_b 5.405
_cell_length_c 21.069
_cell_angle_alpha 90.00
_cell_angle_beta 96.10
_cell_angle_gamma 90.00
loop_
_atom_site_label
_atom_site_type_symbol
_atom_site_fract_x
_atom_site_fract_y
_atom_site_fract_z
P1 P 0.214 0.000 0.235
P2 P 0.251 0.018 0.660
W1 W 0.106 0.005 0.815
W2 W 0.148 0.515 0.460
W3 W 0.179 0.504 0.036
W4 W 0.466 0.012 0.391
W5 W 0.468 0.503 0.888
O1 O 0.011 0.766 0.497
O2 O 0.012 0.770 0.002
O3 O 0.032 0.505 0.113
O4 O 0.048 0.013 0.620
O5 O 0.075 0.224 0.221
O6 O 0.097 0.755 0.226
O7 O 0.218 0.999 0.731
O8 O 0.274 0.267 0.843
O9 O 0.294 0.249 0.422
O10 O 0.294 0.769 0.847
O11 O 0.304 0.020 0.305
O12 O 0.316 0.755 0.416
O13 O 0.321 0.504 0.960
O14 O 0.348 0.239 0.074
O15 O 0.356 0.511 0.536
O16 O 0.358 0.266 0.651
O17 O 0.371 0.737 0.079
O18 O 0.380 0.796 0.644
O19 O 0.385 0.004 0.192
```


Of them, a) has the lowest stability.


a) Material: PWO5
Method: DFT, PBE with a Hubbard U
State: optimized geometry

```
data_PWO5
_chemical_formula_sum 'P8 W8 O40'
_symmetry_space_group_name_H-M 'P n m a'
_symmetry_Int_Tables_number 62
_symmetry_space_group_name_Hall '-P 2ac 2n'
_cell_length_a 5.421
_cell_length_b 12.501
_cell_length_c 13.299
_cell_angle_alpha 90.00
_cell_angle_beta 90.00
_cell_angle_gamma 90.00
loop_
_atom_site_label
_atom_site_type_symbol
_atom_site_fract_x
_atom_site_fract_y
_atom_site_fract_z
P1 P 0.235 0.132 0.020
W1 W 0.243 0.098 0.652
O1 O 0.014 0.077 0.756
O2 O 0.015 0.620 0.032
O3 O 0.046 0.617 0.451
O4 O 0.247 0.250 0.068
O5 O 0.249 0.250 0.668
O6 O 0.250 0.060 0.113
```


b) Material: PWO5
Method: DFT, PBE with a Hubbard U
State: optimized geometry

```
data_PWO5
_chemical_formula_sum 'P4 W4 O20'
_symmetry_space_group_name_H-M 'P n m a'
_symmetry_Int_Tables_number 62
_symmetry_space_group_name_Hall '-P 2ac 2n'
_cell_length_a 11.461
_cell_length_b 5.435
_cell_length_c 6.664
_cell_angle_alpha 90.00
_cell_angle_beta 90.00
_cell_angle_gamma 90.00
loop_
_atom_site_label
_atom_site_type_symbol
_atom_site_fract_x
_atom_site_fract_y
_atom_site_fract_z
P1 P 0.156 0.250 0.028
W1 W 0.062 0.750 0.328
O1 O 0.000 0.000 0.500
O2 O 0.089 0.250 0.829
O3 O 0.127 0.017 0.151
O4 O 0.212 0.750 0.491
```


c) Material: PWO5
Method: DFT, PBE with a Hubbard U
State: optimized geometry

```
data_PWO5
_chemical_formula_sum 'P2 W2 O10'
_symmetry_space_group_name_H-M 'P -1'
_symmetry_Int_Tables_number 2
_symmetry_space_group_name_Hall '-P 1'
_cell_length_a 5.386
_cell_length_b 5.408
_cell_length_c 7.418
_cell_angle_alpha 107.10
_cell_angle_beta 107.57
_cell_angle_gamma 97.95
loop_
_atom_site_label
_atom_site_type_symbol
_atom_site_fract_x
_atom_site_fract_y
_atom_site_fract_z
P1 P 0.169 0.350 0.248
W1 W 0.500 0.000 0.000
W2 W 0.500 0.000 0.500
O1 O 0.126 0.756 0.894
O2 O 0.213 0.650 0.364
O3 O 0.230 0.202 0.400
O4 O 0.353 0.312 0.121
O5 O 0.426 0.052 0.742
```


d) Material: PWO5
Method: DFT, PBE with a Hubbard U
State: optimized geometry

```
data_PWO5
_chemical_formula_sum 'P4 W4 O20'
_symmetry_space_group_name_H-M 'P n a 21'
_symmetry_Int_Tables_number 33
_symmetry_space_group_name_Hall 'P 2c -2n'
_cell_length_a 11.490
_cell_length_b 6.755
_cell_length_c 5.368
_cell_angle_alpha 90.00
_cell_angle_beta 90.00
_cell_angle_gamma 90.00
loop_
_atom_site_label
_atom_site_type_symbol
_atom_site_fract_x
_atom_site_fract_y
_atom_site_fract_z
P1 P 0.156 0.028 0.000
W1 W 0.063 0.328 0.498
O1 O 0.004 0.491 0.211
O2 O 0.086 0.835 0.986
O3 O 0.125 0.162 0.780
O4 O 0.130 0.139 0.247
O5 O 0.214 0.481 0.488
```


Of them, a) has the lowest stability.